Record 1
## Na2Gd2MgTi2O8 (PBE)

Data for Na2Gd2MgTi2O8 after structural relaxation.

a = 3.912 Å, b = 3.912 Å, c = 11.995 Å
α = 90.00°, β = 90.00°, γ = 90.00°
Atoms (fractional coordinates):
1 Ti 0.250 0.250 0.257
2 Na 0.250 0.250 0.638
3 O 0.750 0.250 0.766
4 O 0.750 0.750 0.570
5 Ti 0.750 0.750 0.743
6 O 0.250 0.750 0.750
7 O 0.750 0.750 0.925
8 Mg 0.250 0.750 0.500
9 Gd 0.250 0.250 0.890
10 O 0.250 0.750 0.250
11 O 0.750 0.250 0.234
12 O 0.250 0.250 0.074
13 O 0.250 0.250 0.430
14 Na 0.750 0.750 0.362
15 Gd 0.750 0.750 0.110

Calculated values
Crystal system: tetragonal
VASP energy, eV for the cell shown: -126.51
Space group: P-4m2 (115)


Record 2
## GdMg2Ni9 (PBE)

Data for GdMg2Ni9 after structural relaxation.

a = 8.324 Å, b = 8.324 Å, c = 8.324 Å
α = 33.91°, β = 33.91°, γ = 33.91°
Atoms (fractional coordinates):
1 Ni 0.414 0.918 0.414
2 Ni 0.586 0.082 0.586
3 Ni 0.586 0.586 0.082
4 Mg 0.144 0.144 0.144
5 Ni 0.333 0.333 0.333
6 Ni 0.082 0.586 0.586
7 Ni 0.918 0.414 0.414
8 Ni 0.500 0.500 0.500
9 Mg 0.856 0.856 0.856
10 Ni 0.414 0.414 0.918
11 Ni 0.667 0.667 0.667
12 Gd 0.000 0.000 0.000

Calculated values
Crystal system: trigonal
VASP energy, eV for the cell shown: -67.07
Space group: R-3m (166)


Record 3
## GdMg3Ni8 (PBE)

Data for GdMg3Ni8 after structural relaxation.

a = 8.440 Å, b = 8.440 Å, c = 8.440 Å
α = 33.66°, β = 33.66°, γ = 33.66°
Atoms (fractional coordinates):
1 Gd 0.000 0.000 0.000
2 Ni 0.558 0.063 0.063
3 Mg 0.621 0.621 0.621
4 Ni 0.564 0.564 0.065
5 Ni 0.063 0.558 0.063
6 Mg 0.500 0.500 0.500
7 Ni 0.813 0.813 0.813
8 Ni 0.063 0.063 0.558
9 Mg 0.129 0.129 0.129
10 Ni 0.065 0.564 0.564
11 Ni 0.564 0.065 0.564
12 Ni 0.312 0.312 0.312

Calculated values
Crystal system: trigonal
VASP energy, eV for the cell shown: -68.54
Space group: R3m (160)


Record 4
## Gd2Mg2O5 (PBE)

Data for Gd2Mg2O5 after structural relaxation.

a = 3.900 Å, b = 3.900 Å, c = 7.304 Å
α = 90.00°, β = 90.00°, γ = 90.00°
Atoms (fractional coordinates):
1 Mg 0.500 0.500 0.760
2 Mg 0.500 0.500 0.240
3 O 0.000 0.500 0.799
4 O 0.500 0.500 0.500
5 Gd 0.000 0.000 0.000
6 O 0.500 0.000 0.799
7 O 0.000 0.500 0.201
8 O 0.500 0.000 0.201
9 Gd 0.000 0.000 0.500

Calculated values
Crystal system: tetragonal
VASP energy, eV for the cell shown: -81.36
Space group: P4/mmm (123)


Record 5
## Gd2MgPtO6 (PBE)

Data for Gd2MgPtO6 after structural relaxation.

a = 5.740 Å, b = 5.430 Å, c = 9.474 Å
α = 55.37°, β = 90.00°, γ = 90.00°
Atoms (fractional coordinates):
1 Gd 0.568 0.769 0.252
2 O 0.201 0.128 0.561
3 O 0.804 0.251 0.056
4 O 0.799 0.872 0.439
5 Mg 0.000 0.500 0.500
6 Gd 0.432 0.231 0.748
7 O 0.956 0.638 0.247
8 Gd 0.932 0.769 0.752
9 O 0.044 0.362 0.753
10 O 0.304 0.749 0.444
11 Pt 0.500 0.000 0.500
12 Pt 0.000 0.000 0.000
13 Gd 0.068 0.231 0.248
14 O 0.544 0.638 0.747
15 O 0.701 0.872 0.939
16 O 0.299 0.128 0.061
17 Mg 0.500 0.500 0.000
18 O 0.196 0.749 0.944
19 O 0.696 0.251 0.556
20 O 0.456 0.362 0.253

Calculated values
Crystal system: monoclinic
VASP energy, eV for the cell shown: -180.51
Space group: P2_1/c (14)


Record 6
## GdMgPd (PBE)

Data for GdMgPd after structural relaxation.

a = 4.096 Å, b = 7.534 Å, c = 7.534 Å
α = 120.00°, β = 90.00°, γ = 90.00°
Atoms (fractional coordinates):
1 Pd 0.500 0.667 0.333
2 Pd 0.500 0.333 0.667
3 Mg 0.500 0.000 0.243
4 Mg 0.500 0.757 0.757
5 Gd 0.000 0.587 0.000
6 Gd 0.000 0.413 0.413
7 Pd 0.000 0.000 0.000
8 Gd 0.000 0.000 0.587
9 Mg 0.500 0.243 0.000

Calculated values
Crystal system: hexagonal
VASP energy, eV for the cell shown: -68.72
Space group: P-62m (189)


Record 7
## PmGdMg2 (PBE)

Data for PmGdMg2 after structural relaxation.

a = 5.467 Å, b = 5.467 Å, c = 5.467 Å
α = 60.00°, β = 60.00°, γ = 60.00°
Atoms (fractional coordinates):
1 Mg 0.750 0.750 0.750
2 Mg 0.250 0.250 0.250
3 Pm 0.000 0.000 0.000
4 Gd 0.500 0.500 0.500

Calculated values
Crystal system: cubic
VASP energy, eV for the cell shown: -22.43
Space group: Fm-3m (225)


Record 8
## GdMgRh2 (PBE)

Data for GdMgRh2 after structural relaxation.

a = 4.675 Å, b = 4.675 Å, c = 4.675 Å
α = 60.00°, β = 60.00°, γ = 60.00°
Atoms (fractional coordinates):
1 Rh 0.250 0.250 0.250
2 Gd 0.000 0.000 0.000
3 Rh 0.750 0.750 0.750
4 Mg 0.500 0.500 0.500

Calculated values
Crystal system: cubic
VASP energy, eV for the cell shown: -33.08
Space group: Fm-3m (225)


| no. | ΔE_f (meV per atom) | volume (Å³/cell) |
| --- | --- | --- |
| 1 | -2949 | 184 |
| 2 | 186 | 160 |
| 3 | -285 | 165 |
| 4 | -3189 | 111 |
| 5 | -2887 | 243 |
| 6 | -684 | 201 |
| 7 | -100 | 116 |
| 8 | -668 | 72 |